[1]
Sr2LiMgSi3 | PBE | optimized geometry Values from VASP.

Output
- DFT formation energy (meV per atom) = -370.0
- total DFT energy (no corrections) (eV per atom) = -3.71
- total energy after the MP2020 corrections (eV per formula unit) = -25.75
- space-group type = No. 36

```
&SYSTEM
  ibrav = 0, nat = 14, ntyp = 4
/
ATOMIC_SPECIES
Sr 87.62 Sr.upf
Li 6.94 Li.upf
Mg 24.30 Mg.upf
Si 28.09 Si.upf
CELL_PARAMETERS angstrom
-8.812 3.361 3.362
8.756 -4.744 1.048
3.107 6.171 1.974
ATOMIC_POSITIONS crystal
Sr 0.444 0.556 0.752
Sr 0.556 0.444 0.252
Sr 0.654 0.346 0.739
Sr 0.346 0.654 0.239
Li 0.810 0.190 0.949
Li 0.190 0.810 0.449
Mg 0.191 0.809 0.056
Mg 0.809 0.191 0.556
Si 0.278 0.722 0.751
Si 0.722 0.278 0.251
Si 0.947 0.053 0.418
Si 0.053 0.947 0.585
Si 0.947 0.053 0.085
Si 0.053 0.947 0.918
```

=====

[2]
Li2MgSn | PBE | optimized geometry Values from VASP.

Output
- DFT formation energy (meV per atom) = -331.5
- total DFT energy (no corrections) (eV per atom) = -2.69
- space-group type = No. 225

```
&SYSTEM
  ibrav = 0, nat = 4, ntyp = 3
/
ATOMIC_SPECIES
Li 6.94 Li.upf
Mg 24.30 Mg.upf
Sn 118.71 Sn.upf
CELL_PARAMETERS angstrom
0.000 3.333 3.333
3.333 0.000 3.333
3.333 3.333 0.000
ATOMIC_POSITIONS crystal
Li 0.250 0.250 0.250
Li 0.750 0.750 0.750
Mg 0.500 0.500 0.500
Sn 0.000 0.000 0.000
```

=====

[3]
Li2MgSn | PBE | optimized geometry Values from VASP.

Output
- DFT formation energy (meV per atom) = -349.0
- total DFT energy (no corrections) (eV per atom) = -2.71
- space-group type = No. 216

```
&SYSTEM
  ibrav = 0, nat = 4, ntyp = 3
/
ATOMIC_SPECIES
Li 6.94 Li.upf
Mg 24.30 Mg.upf
Sn 118.71 Sn.upf
CELL_PARAMETERS angstrom
-2.211 -4.168 0.896
-4.337 -0.868 -1.871
-0.499 -3.254 -3.497
ATOMIC_POSITIONS crystal
Li 0.500 0.500 0.500
Li 0.750 0.750 0.750
Mg 0.250 0.250 0.250
Sn 0.000 0.000 0.000
```